Entry from the Materials Project database: an optimized crystal structure of PrMgTl (meta-GGA r2SCAN).

Unit cell a=7.751 b=7.752 c=4.772 alpha=90.00 beta=90.00 gamma=120.00
Atoms (fractional coordinates):
Pr: 0.575 0.000 0.000
Pr: 0.000 0.575 0.000
Pr: 0.425 0.425 0.000
Mg: 0.243 0.000 0.500
Mg: 0.000 0.243 0.500
Mg: 0.757 0.757 0.500
Tl: 0.333 0.667 0.500
Tl: 0.667 0.333 0.500
Tl: 0.000 0.000 0.000

Its space-group type is P-62m. The calculation puts the total magnetization at 0.00 μB/cell. The total energy is -29.378 eV/atom. As for the crystal system: hexagonal. Its calculated volume is 248 Å³ per cell.